A plane-wave DFT calculation with r2SCAN was carried out for a geometry-optimized CeNdS2 structure.

a b c (Å): 7.117 7.117 7.117
angles (deg): 33.03 33.03 33.03
Sites, in units of the cell vectors:
1 Ce 0.000 0.000 0.000
2 Nd 0.500 0.500 0.500
3 S 0.250 0.250 0.250
4 S 0.750 0.750 0.750

* DFT total energy: -21.386 eV/atom
* E_form: -2.305 eV per atom
* SG: R-3m, No. 166
* calculated volume: 23.83 Å³/atom

A plane-wave DFT calculation with r2SCAN was carried out for a geometry-optimized CeNdSi2 structure.

a b c (Å): 3.957 5.939 8.268
angles (deg): 90.00 90.00 90.00
Sites, in units of the cell vectors:
1 Ce 0.000 0.136 0.680
2 Ce 0.000 0.864 0.180
3 Nd 0.500 0.365 0.320
4 Nd 0.500 0.635 0.820
5 Si 0.000 0.632 0.533
6 Si 0.000 0.368 0.033
7 Si 0.500 0.870 0.467
8 Si 0.500 0.130 0.967

* DFT total energy: -20.236 eV/atom
* E_form: -0.785 eV per atom
* SG: Pmc2_1, No. 26
* calculated volume: 24.29 Å³/atom

A plane-wave DFT calculation with r2SCAN was carried out for a geometry-optimized CeNi5 structure.

a b c (Å): 4.841 4.841 3.954
angles (deg): 90.00 90.00 120.00
Sites, in units of the cell vectors:
1 Ce 0.000 0.000 0.000
2 Ni 0.000 0.500 0.500
3 Ni 0.333 0.667 0.000
4 Ni 0.667 0.333 0.000
5 Ni 0.500 0.000 0.500
6 Ni 0.500 0.500 0.500

* DFT total energy: -15.424 eV/atom
* E_form: -0.299 eV per atom
* SG: P6/mmm, No. 191
* calculated volume: 13.38 Å³/atom

A plane-wave DFT calculation with r2SCAN was carried out for a geometry-optimized CeNi3 structure.

a b c (Å): 4.887 4.887 16.395
angles (deg): 90.00 90.00 120.00
Sites, in units of the cell vectors:
1 Ce 0.333 0.667 0.458
2 Ce 0.667 0.333 0.958
3 Ce 0.667 0.333 0.542
4 Ce 0.333 0.667 0.042
5 Ce 0.333 0.667 0.250
6 Ce 0.667 0.333 0.750
7 Ni 0.834 0.166 0.373
8 Ni 0.166 0.834 0.873
9 Ni 0.834 0.668 0.127
10 Ni 0.166 0.332 0.627
11 Ni 0.000 0.000 0.500
12 Ni 0.668 0.834 0.873
13 Ni 0.834 0.668 0.373
14 Ni 0.166 0.332 0.873
15 Ni 0.332 0.166 0.127
16 Ni 0.667 0.333 0.250
17 Ni 0.834 0.166 0.127
18 Ni 0.000 0.000 0.750
19 Ni 0.668 0.834 0.627
20 Ni 0.332 0.166 0.373
21 Ni 0.000 0.000 0.000
22 Ni 0.166 0.834 0.627
23 Ni 0.333 0.667 0.750
24 Ni 0.000 0.000 0.250

* DFT total energy: -17.026 eV/atom
* E_form: -0.329 eV per atom
* SG: P6_3/mmc, No. 194
* calculated volume: 14.13 Å³/atom

Repeat the fourth record exactly.
A plane-wave DFT calculation with r2SCAN was carried out for a geometry-optimized CeNi3 structure.

a b c (Å): 4.887 4.887 16.395
angles (deg): 90.00 90.00 120.00
Sites, in units of the cell vectors:
1 Ce 0.333 0.667 0.458
2 Ce 0.667 0.333 0.958
3 Ce 0.667 0.333 0.542
4 Ce 0.333 0.667 0.042
5 Ce 0.333 0.667 0.250
6 Ce 0.667 0.333 0.750
7 Ni 0.834 0.166 0.373
8 Ni 0.166 0.834 0.873
9 Ni 0.834 0.668 0.127
10 Ni 0.166 0.332 0.627
11 Ni 0.000 0.000 0.500
12 Ni 0.668 0.834 0.873
13 Ni 0.834 0.668 0.373
14 Ni 0.166 0.332 0.873
15 Ni 0.332 0.166 0.127
16 Ni 0.667 0.333 0.250
17 Ni 0.834 0.166 0.127
18 Ni 0.000 0.000 0.750
19 Ni 0.668 0.834 0.627
20 Ni 0.332 0.166 0.373
21 Ni 0.000 0.000 0.000
22 Ni 0.166 0.834 0.627
23 Ni 0.333 0.667 0.750
24 Ni 0.000 0.000 0.250

* DFT total energy: -17.026 eV/atom
* E_form: -0.329 eV per atom
* SG: P6_3/mmc, No. 194
* calculated volume: 14.13 Å³/atom

Question: DFT total energy of number 3 (CeNi5)?
Answer: -15.424 eV/atom

Question: calculated volume of number 1 (CeNdS2)?
Answer: 23.83 Å³/atom

Question: The highest DFT total energy belongs to which entry?
Answer: CeNi5